Crystalline MnSiO3 at its relaxed geometry, computed with PBE with a Hubbard U.

Uncorrected energy: -7.920 eV/atom
ΔE_f: -2.780 eV/atom

abc: 9.3416 5.4493 9.7016
angles: 77.82 90.00 90.00
Fractional positions:
Mn 0.4881 0.4972 0.7498
Mn 0.9881 0.0028 0.2502
Mn 0.5119 0.5028 0.2502
Mn 0.0119 0.9972 0.7498
Mn 0.8508 0.4976 0.7503
Mn 0.3508 0.0024 0.2497
Mn 0.1492 0.5024 0.2497
Mn 0.6492 0.9976 0.7503
Si 0.6639 0.2216 0.0465
Si 0.1639 0.2784 0.9535
Si 0.3361 0.7784 0.9535
Si 0.8361 0.7216 0.0465
Si 0.1636 0.7276 0.5459
Si 0.6636 0.7724 0.4541
Si 0.8364 0.2724 0.4541
Si 0.3364 0.2276 0.5459
O 0.7659 0.4365 0.0998
O 0.2659 0.0635 0.9002
O 0.2341 0.5635 0.9002
O 0.7341 0.9365 0.0998
O 0.5126 0.2355 0.1261
O 0.0126 0.2645 0.8739
O 0.4874 0.7645 0.8739
O 0.9874 0.7355 0.1261
O 0.6588 0.2847 0.8737
O 0.1588 0.2153 0.1263
O 0.3412 0.7153 0.1263
O 0.8412 0.7847 0.8737
O 0.2579 0.9501 0.6007
O 0.7579 0.5499 0.3993
O 0.7421 0.0499 0.3993
O 0.2421 0.4501 0.6007
O 0.3406 0.2894 0.3732
O 0.8406 0.2106 0.6268
O 0.6594 0.7106 0.6268
O 0.1594 0.7894 0.3732
O 0.0108 0.7309 0.6243
O 0.9892 0.2691 0.3757
O 0.5108 0.7691 0.3757
O 0.4892 0.2309 0.6243


Crystalline MgMn6O8F4 at its relaxed geometry, computed with PBE with a Hubbard U.

Uncorrected energy: -6.822 eV/atom
ΔE_f: -2.271 eV/atom
Energy above the most stable polymorph in this dataset: 42 meV/atom

abc: 8.2985 5.7854 6.0070
angles: 65.83 62.72 64.97
Fractional positions:
Mg 0.6605 0.3465 0.8390
Mn 0.8832 0.6902 0.7191
Mn 0.6707 0.3201 0.3398
Mn 0.3303 0.6545 0.6470
Mn 0.1319 0.3113 0.3055
Mn 0.4772 0.9686 0.9879
Mn 0.0156 0.0185 0.9820
O 0.6957 0.0601 0.6777
O 0.3695 0.3538 0.9629
O 0.9450 0.2504 0.1869
O 0.0683 0.7514 0.8056
O 0.3984 0.4116 0.4786
O 0.3103 0.9436 0.3445
O 0.6461 0.6031 0.0068
O 0.9620 0.3196 0.6904
F 0.3154 0.8971 0.8388
F 0.6112 0.6137 0.5303
F 0.7083 0.0565 0.1372
F 0.0238 0.7153 0.3056


Crystalline LiV3O8 at its relaxed geometry, computed with PBE with a Hubbard U.

Uncorrected energy: -7.189 eV/atom
ΔE_f: -2.344 eV/atom
Energy above the most stable polymorph in this dataset: 0 meV/atom

abc: 3.6293 6.8374 11.9405
angles: 75.32 90.00 90.00
Fractional positions:
Li 0.2500 0.8144 0.6868
Li 0.7500 0.1856 0.3132
V 0.2500 0.3071 0.5377
V 0.7500 0.6929 0.4623
V 0.2500 0.1255 0.0808
V 0.7500 0.8745 0.9192
V 0.2500 0.2661 0.8072
V 0.7500 0.7339 0.1928
O 0.2500 0.6065 0.4599
O 0.7500 0.3935 0.5401
O 0.2500 0.9504 0.9280
O 0.7500 0.0496 0.0720
O 0.2500 0.1293 0.6736
O 0.7500 0.8707 0.3264
O 0.2500 0.2321 0.1893
O 0.7500 0.7679 0.8107
O 0.2500 0.1797 0.4378
O 0.7500 0.8203 0.5622
O 0.2500 0.3262 0.9516
O 0.7500 0.6738 0.0484
O 0.2500 0.4958 0.7225
O 0.7500 0.5042 0.2775
O 0.2500 0.8197 0.1746
O 0.7500 0.1803 0.8254


Crystalline Li3V3B2O10 at its relaxed geometry, computed with PBE with a Hubbard U.

Uncorrected energy: -7.221 eV/atom
ΔE_f: -2.563 eV/atom
Energy above the most stable polymorph in this dataset: 15 meV/atom

abc: 3.0387 9.2697 12.2273
angles: 89.75 89.91 89.41
Fractional positions:
Li 0.0017 0.0052 0.9984
Li 0.4999 0.9770 0.5087
Li 0.0025 0.5181 0.5068
Li 0.4993 0.4984 0.0002
Li 0.4992 0.7305 0.4006
Li 0.0016 0.9860 0.7096
V 0.0000 0.9933 0.2902
V 0.5007 0.2380 0.1074
V 0.5206 0.2494 0.6120
V 0.9980 0.5003 0.7841
V 0.9996 0.5079 0.2199
V 0.4710 0.7657 0.8847
B 0.4989 0.2279 0.8575
B 0.4972 0.2747 0.3623
B 0.5017 0.7297 0.6338
B 0.5041 0.7790 0.1365
O 0.0001 0.1072 0.1546
O 0.9799 0.1338 0.5745
O 0.4966 0.1242 0.3466
O 0.4953 0.1571 0.7600
O 0.4999 0.1557 0.9568
O 0.4968 0.3398 0.4594
O 0.5009 0.3576 0.2625
O 0.4959 0.3815 0.8565
O 0.0024 0.3856 0.0857
O 0.0114 0.3846 0.6520
O 0.9981 0.5927 0.3413
O 0.9913 0.6227 0.9211
O 0.4969 0.6264 0.1491
O 0.4974 0.6468 0.7425
O 0.4988 0.6461 0.5453
O 0.5173 0.8418 0.0369
O 0.5030 0.8646 0.2304
O 0.5059 0.8734 0.6455
O 0.0010 0.8969 0.4114
O 0.0151 0.8804 0.8552


Crystalline MgW4O8 at its relaxed geometry, computed with PBE with a Hubbard U.

Uncorrected energy: -7.178 eV/atom
ΔE_f: -1.812 eV/atom
Energy above the most stable polymorph in this dataset: 0 meV/atom

abc: 3.2471 7.7473 7.8809
angles: 96.01 101.59 101.85
Fractional positions:
Mg 0.4622 0.1424 0.7876
W 0.8021 0.1666 0.4309
W 0.6621 0.5092 0.7983
W 0.3217 0.4818 0.1657
W 0.1489 0.8039 0.5105
O 0.5166 0.6606 0.3840
O 0.7756 0.3266 0.2434
O 0.1897 0.6492 0.7165
O 0.4557 0.2935 0.5769
O 0.1609 0.0119 0.3380
O 0.1186 0.3209 0.9029
O 0.8127 0.9982 0.6435
O 0.8450 0.6113 0.0712


Crystalline Li3Fe2Si2O8 at its relaxed geometry, computed with PBE with a Hubbard U.

Uncorrected energy: -6.693 eV/atom
ΔE_f: -2.487 eV/atom
Energy above the most stable polymorph in this dataset: 36 meV/atom

abc: 5.2912 5.2912 6.4203
angles: 89.48 89.48 87.62
Fractional positions:
Li 0.6894 0.6921 0.2485
Li 0.3079 0.3106 0.7515
Li 0.8201 0.1799 0.5000
Fe 0.6762 0.6845 0.7585
Fe 0.3155 0.3238 0.2415
Si 0.1829 0.8171 0.5000
Si 0.8262 0.1738 0.0000
O 0.7702 0.8721 0.9968
O 0.8702 0.7881 0.5075
O 0.3135 0.6860 0.2941
O 0.3140 0.6865 0.7059
O 0.6946 0.2984 0.2144
O 0.7016 0.3054 0.7856
O 0.1279 0.2298 0.0032
O 0.2119 0.1298 0.4925


Crystalline Sr2AlV11O22 at its relaxed geometry, computed with PBE with a Hubbard U.

Uncorrected energy: -7.743 eV/atom
ΔE_f: -2.685 eV/atom

abc: 5.9014 5.9014 13.3793
angles: 90.00 90.00 120.82
Fractional positions:
Sr 0.6644 0.3356 0.5000
Sr 0.3322 0.6678 0.0000
Al 0.6659 0.3341 0.0000
V 0.9999 0.0001 0.6035
V 0.9993 0.0007 0.8989
V 0.9993 0.0007 0.1011
V 0.9999 0.0001 0.3965
V 0.5068 0.0082 0.2480
V 0.4984 0.5016 0.2505
V 0.9918 0.4932 0.2480
V 0.5068 0.0082 0.7520
V 0.4984 0.5016 0.7495
V 0.9918 0.4932 0.7520
V 0.3329 0.6671 0.5000
O 0.6598 0.3402 0.1611
O 0.3371 0.6629 0.3330
O 0.3371 0.6629 0.6670
O 0.6598 0.3402 0.8389
O 0.8201 0.6454 0.3279
O 0.8254 0.1746 0.3321
O 0.3546 0.1799 0.3279
O 0.1761 0.3455 0.1710
O 0.1797 0.8203 0.1717
O 0.6545 0.8239 0.1710
O 0.1761 0.3455 0.8290
O 0.1797 0.8203 0.8283
O 0.6545 0.8239 0.8290
O 0.8201 0.6454 0.6721
O 0.8254 0.1746 0.6679
O 0.3546 0.1799 0.6721
O 0.1524 0.2974 0.5000
O 0.1470 0.8530 0.5000
O 0.7026 0.8476 0.5000
O 0.8456 0.6895 0.0000
O 0.8392 0.1608 0.0000
O 0.3105 0.1544 0.0000


Crystalline LiFe4B4O12 at its relaxed geometry, computed with PBE with a Hubbard U.

Uncorrected energy: -7.209 eV/atom
ΔE_f: -2.228 eV/atom
Energy above the most stable polymorph in this dataset: 6 meV/atom

abc: 5.2376 9.1394 11.3432
angles: 113.53 103.30 88.98
Fractional positions:
Li 0.2865 0.2738 0.9039
Li 0.7648 0.7509 0.1584
Fe 0.0167 0.3497 0.3709
Fe 0.2672 0.9316 0.8813
Fe 0.4800 0.1520 0.6238
Fe 0.2511 0.5577 0.1371
Fe 0.7701 0.4456 0.8795
Fe 0.5108 0.8508 0.3791
Fe 0.9759 0.6474 0.6282
Fe 0.7477 0.0690 0.1259
B 0.0231 0.6851 0.3797
B 0.2670 0.6004 0.8734
B 0.4720 0.8162 0.6318
B 0.2337 0.8880 0.1255
B 0.5297 0.1897 0.3779
B 0.7686 0.1094 0.8763
B 0.9757 0.3164 0.6300
B 0.7310 0.3972 0.1219
O 0.0293 0.0967 0.8762
O 0.1199 0.7065 0.8306
O 0.1431 0.4968 0.9107
O 0.1419 0.2049 0.6442
O 0.0338 0.4205 0.5765
O 0.2415 0.8310 0.6775
O 0.2611 0.6761 0.3443
O 0.5295 0.5977 0.8817
O 0.6256 0.2237 0.8377
O 0.4697 0.0798 0.4298
O 0.3648 0.3032 0.3732
O 0.6310 0.0180 0.9162
O 0.3522 0.9713 0.0700
O 0.6333 0.7005 0.6348
O 0.5317 0.9261 0.5812
O 0.3980 0.7925 0.1783
O 0.4653 0.3780 0.0972
O 0.7435 0.3315 0.6747
O 0.7607 0.1752 0.3358
O 0.9616 0.5813 0.4332
O 0.8492 0.7887 0.3557
O 0.8470 0.5046 0.0825
O 0.8922 0.3085 0.1784
O 0.9778 0.8936 0.1290